Entry 1:
## Na6Nb2Ga2Si5SO24 (PBE)

Data for a relaxed Na6Nb2Ga2Si5SO24 crystal.

- Final energy: -6.89 eV/atom
- Calculated formation energy: -2693 meV/atom

Geometry as CIF:
```
data_Na6Nb2Ga2Si5SO24
_space_group_name_H-M_alt 'P 1'
_space_group_IT_number 1
_cell_length_a 8.9735
_cell_length_b 8.9867
_cell_length_c 22.4085
_cell_angle_alpha 90.41
_cell_angle_beta 90.08
_cell_angle_gamma 119.91
loop_
_space_group_symop_operation_xyz
'x,y,z'
loop_
_atom_site_label
_atom_site_fract_x
_atom_site_fract_y
_atom_site_fract_z
Na1 0.0000 0.0000 0.0000
Na2 0.0002 0.3628 0.2452
Na3 0.0358 0.0634 0.6613
Na4 0.0449 0.7095 0.1599
Na5 0.2946 0.3295 0.1636
Na6 0.3289 0.3997 0.8297
Na7 0.3309 0.0341 0.0812
Na8 0.3311 0.6699 0.3281
Na9 0.3420 0.0346 0.5830
Na10 0.3624 0.7265 0.9969
Na11 0.6348 0.9945 0.4973
Na12 0.6659 0.0647 0.1630
Na13 0.6659 0.6857 0.9160
Na14 0.6670 0.6935 0.4158
Na15 0.7032 0.0452 0.8272
Na16 0.9739 0.6635 0.8298
Na17 0.9979 0.3747 0.7461
Na18 0.9983 0.7361 0.4970
Nb1 0.0004 0.3663 0.3907
Nb2 0.3298 0.0377 0.9301
Nb3 0.3332 0.0403 0.4316
Nb4 0.6709 0.7167 0.2683
Nb5 0.6790 0.7087 0.7643
Nb6 0.9914 0.3710 0.5981
Ga1 0.0156 0.3879 0.8917
Ga2 0.0334 0.3823 0.0952
Ga3 0.3218 0.0218 0.2305
Ga4 0.3396 0.0197 0.7273
Ga5 0.6703 0.6956 0.0603
Ga6 0.6767 0.7145 0.5569
Si1 0.0036 0.0803 0.4963
Si2 0.0438 0.7446 0.3265
Si3 0.0504 0.0448 0.8248
Si4 0.2985 0.3757 0.9948
Si5 0.2992 0.6568 0.4957
Si6 0.3332 0.7436 0.8274
Si7 0.3365 0.3216 0.3241
Si8 0.3801 0.7069 0.1587
Si9 0.6222 0.0461 0.3255
Si10 0.6262 0.3211 0.8259
Si11 0.6592 0.9919 0.6588
Si12 0.7066 0.3749 0.4943
Si13 0.9616 0.9972 0.1577
Si14 0.9667 0.7092 0.6589
Si15 0.9917 0.6497 0.9960
S1 0.3813 0.4125 0.6601
S2 0.6693 0.4126 0.1604
S3 0.7140 0.0833 0.9950
O1 0.0173 0.2036 0.8371
O2 0.0297 0.5574 0.3354
O3 0.0350 0.2008 0.5554
O4 0.0359 0.5705 0.0551
O5 0.1317 0.9988 0.8849
O6 0.1331 0.8647 0.3862
O7 0.1485 0.8847 0.6683
O8 0.1527 0.0176 0.1663
O9 0.1626 0.5622 0.5510
O10 0.1628 0.8186 0.2681
O11 0.1672 0.5523 0.8333
O12 0.1700 0.0778 0.7678
O13 0.1717 0.3519 0.3343
O14 0.1725 0.0570 0.4892
O15 0.1732 0.3205 0.0534
O16 0.1741 0.8468 0.9886
O17 0.1879 0.5319 0.1573
O18 0.2030 0.5414 0.4358
O19 0.2064 0.3968 0.6572
O20 0.2097 0.4033 0.9355
O21 0.2903 0.8273 0.7723
O22 0.3056 0.2082 0.2647
O23 0.3090 0.8453 0.4886
O24 0.3123 0.1969 0.9876
O25 0.3575 0.2404 0.6661
O26 0.3630 0.8798 0.1660
O27 0.3650 0.2298 0.3836
O28 0.3753 0.8686 0.8877
O29 0.4609 0.5201 0.7161
O30 0.4706 0.6701 0.2179
O31 0.4856 0.5497 0.0025
O32 0.4876 0.4966 0.6075
O33 0.4898 0.6839 0.5013
O34 0.4967 0.0182 0.6675
O35 0.4971 0.2312 0.8849
O36 0.5012 0.0013 0.3852
O37 0.5032 0.7381 0.1013
O38 0.5044 0.5178 0.3197
O39 0.5072 0.7251 0.8207
O40 0.5146 0.2402 0.1653
O41 0.5265 0.1934 0.4883
O42 0.5338 0.1968 0.7701
O43 0.5355 0.0588 0.9902
O44 0.5382 0.0684 0.2653
O45 0.6371 0.4895 0.1070
O46 0.6372 0.8671 0.3214
O47 0.6394 0.8764 0.6007
O48 0.6404 0.5128 0.8211
O49 0.6929 0.9075 0.9987
O50 0.6968 0.8974 0.7183
O51 0.6983 0.5475 0.5026
O52 0.6994 0.5230 0.2141
O53 0.7902 0.1865 0.0496
O54 0.7998 0.3329 0.5514
O55 0.8159 0.2060 0.3342
O56 0.8165 0.3449 0.8358
O57 0.8175 0.1589 0.9407
O58 0.8247 0.3947 0.1551
O59 0.8323 0.8956 0.2160
O60 0.8341 0.6918 0.0013
O61 0.8337 0.8916 0.4984
O62 0.8368 0.4030 0.4386
O63 0.8392 0.6731 0.7190
O64 0.8472 0.1781 0.6562
O65 0.8527 0.7229 0.3193
O66 0.8584 0.8649 0.8218
O67 0.8721 0.7364 0.6019
O68 0.8730 0.8696 0.1006
O69 0.9680 0.1844 0.1542
O70 0.9697 0.5432 0.9346
O71 0.9727 0.1760 0.4393
O72 0.9815 0.5332 0.6556
```



Entry 2:
## K3Nb2AsSe11 (PBE)

Data for a relaxed K3Nb2AsSe11 crystal.

- Final energy: -4.64 eV/atom
- Calculated formation energy: -1027 meV/atom

Geometry as CIF:
```
data_K3Nb2AsSe11
_space_group_name_H-M_alt 'C 1 c 1'
_space_group_IT_number 9
_cell_length_a 15.2576
_cell_length_b 13.3743
_cell_length_c 10.0972
_cell_angle_alpha 90.00
_cell_angle_beta 99.53
_cell_angle_gamma 90.00
loop_
_space_group_symop_operation_xyz
'x,y,z'
'x,-y,z+1/2'
'x+1/2,y+1/2,z'
'x+1/2,-y+1/2,z+1/2'
loop_
_atom_site_label
_atom_site_fract_x
_atom_site_fract_y
_atom_site_fract_z
K1 0.0000 0.0689 0.0000
K2 0.1199 0.4208 0.7510
K3 0.2459 0.0781 0.6663
Nb1 0.2016 0.2243 0.2697
Nb2 0.3868 0.2917 0.0855
As1 0.4666 0.1527 0.8186
Se1 0.0382 0.1726 0.6693
Se2 0.0936 0.3063 0.0725
Se3 0.1214 0.3457 0.4240
Se4 0.1300 0.0767 0.3296
Se5 0.2091 0.2007 0.0123
Se6 0.3022 0.4593 0.0238
Se7 0.3090 0.4004 0.2484
Se8 0.3315 0.2475 0.4771
Se9 0.3697 0.1578 0.2888
Se10 0.3965 0.3135 0.8269
Se11 0.3976 0.0964 0.0111
```



Entry 3:
## LiMnN2 (PBE)

Data for a relaxed LiMnN2 crystal.

- Final energy: -7.27 eV/atom
- Calculated formation energy: -519 meV/atom

Geometry as CIF:
```
data_LiMnN2
_space_group_name_H-M_alt 'I -4 2 d'
_space_group_IT_number 122
_space_group_name_Hall 'I -4 2bw'
_cell_length_a 4.5614
_cell_length_b 4.5614
_cell_length_c 8.3921
_cell_angle_alpha 90.00
_cell_angle_beta 90.00
_cell_angle_gamma 90.00
loop_
_atom_site_label
_atom_site_fract_x
_atom_site_fract_y
_atom_site_fract_z
Li1 0.0000 0.0000 0.0000
Mn1 0.0000 0.0000 0.5000
N1 0.1815 0.7500 0.6250
```



Entry 4:
## Li2BSbO4 (PBE)

Data for a relaxed Li2BSbO4 crystal.

- Final energy: -6.26 eV/atom
- Calculated formation energy: -2301 meV/atom

Geometry as CIF:
```
data_Li2BSbO4
_space_group_name_H-M_alt 'P 1 21/c 1'
_space_group_IT_number 14
_cell_length_a 7.5438
_cell_length_b 4.9382
_cell_length_c 10.3452
_cell_angle_alpha 90.00
_cell_angle_beta 97.61
_cell_angle_gamma 90.00
loop_
_space_group_symop_operation_xyz
'x,y,z'
'-x,-y,-z'
'-x,y+1/2,-z+1/2'
'x,-y+1/2,z+1/2'
loop_
_atom_site_label
_atom_site_fract_x
_atom_site_fract_y
_atom_site_fract_z
Li1 0.0035 0.1905 0.3278
Li2 0.2003 0.2073 0.5839
B1 0.1535 0.6736 0.4406
Sb1 0.4966 0.2362 0.8760
O1 0.0316 0.6985 0.8534
O2 0.2110 0.0895 0.9197
O3 0.2194 0.6987 0.0622
O4 0.4525 0.1453 0.1840
```



Entry 5:
## Ta10O9 (PBE)

Data for a relaxed Ta10O9 crystal.

- Final energy: -9.82 eV/atom
- Calculated formation energy: -1559 meV/atom

Geometry as CIF:
```
data_Ta10O9
_space_group_name_H-M_alt 'C 1 m 1'
_space_group_IT_number 8
_cell_length_a 32.2051
_cell_length_b 2.7495
_cell_length_c 5.2312
_cell_angle_alpha 90.00
_cell_angle_beta 93.58
_cell_angle_gamma 90.00
loop_
_space_group_symop_operation_xyz
'x,y,z'
'x,-y,z'
'x+1/2,y+1/2,z'
'x+1/2,-y+1/2,z'
loop_
_atom_site_label
_atom_site_fract_x
_atom_site_fract_y
_atom_site_fract_z
Ta1 0.0000 0.0000 0.0000
Ta2 0.9996 0.5000 0.4960
Ta3 0.1018 0.0000 0.6830
Ta4 0.1018 0.5000 0.1809
Ta5 0.2067 0.0000 0.4078
Ta6 0.2139 0.5000 0.8963
Ta7 0.2877 0.5000 0.5848
Ta8 0.3004 0.0000 0.0812
Ta9 0.3980 0.0000 0.7877
Ta10 0.3985 0.5000 0.2918
O1 0.0490 0.0000 0.3425
O2 0.0487 0.5000 0.8419
O3 0.1660 0.5000 0.2040
O4 0.1682 0.0000 0.7078
O5 0.2517 0.5000 0.2446
O6 0.3484 0.5000 0.9424
O7 0.3539 0.0000 0.4665
O8 0.4473 0.5000 0.6307
O9 0.4503 0.0000 0.1484
```



Entry 6:
## Ba6Mg23 (PBE)

Data for a relaxed Ba6Mg23 crystal.

- Final energy: -1.74 eV/atom
- Calculated formation energy: -74 meV/atom

Geometry as CIF:
```
data_Ba6Mg23
_space_group_name_H-M_alt 'F m -3 m'
_space_group_IT_number 225
_space_group_name_Hall '-F 4 2 3'
_cell_length_a 15.2364
_cell_length_b 15.2364
_cell_length_c 15.2364
_cell_angle_alpha 90.00
_cell_angle_beta 90.00
_cell_angle_gamma 90.00
loop_
_atom_site_label
_atom_site_fract_x
_atom_site_fract_y
_atom_site_fract_z
Ba1 0.0000 0.0000 0.2130
Mg1 0.0000 0.0000 0.5000
Mg2 0.0000 0.2500 0.2500
Mg3 0.1239 0.1239 0.3761
Mg4 0.1765 0.1765 0.1765
```